Entry 1:
DFT (PBE) results for crystalline HfSi2 at its relaxed geometry.

Unit cell a=3.660 b=3.698 c=7.498 alpha=75.72 beta=90.00 gamma=90.00
Element x y z (fractional)
Hf: 0.750 0.895 0.210
Hf: 0.250 0.105 0.790
Si: 0.750 0.555 0.891
Si: 0.250 0.445 0.109
Si: 0.750 0.250 0.499
Si: 0.250 0.750 0.501

## Properties
Symmetry: Cmcm (63)
Energy (eV/cell): -45.0

---

Entry 2:
DFT (PBE) results for crystalline BaGaCu2 at its relaxed geometry.

Unit cell a=6.235 b=6.235 c=6.235 alpha=40.53 beta=40.53 gamma=40.53
Element x y z (fractional)
Ba: 0.000 0.000 0.000
Ga: 0.500 0.500 0.500
Cu: 0.812 0.812 0.812
Cu: 0.188 0.188 0.188

## Properties
Symmetry: R-3m (166)
Energy (eV/cell): -14.0

---

Entry 3:
DFT (PBE) results for crystalline AlSi2O6 at its relaxed geometry.

Unit cell a=12.129 b=12.129 c=12.129 alpha=108.91 beta=108.91 gamma=110.60
Element x y z (fractional)
Al: 0.581 0.919 0.000
Al: 0.419 0.419 0.339
Al: 0.669 0.831 0.500
Al: 0.831 0.331 0.161
Al: 0.081 0.081 0.661
Al: 0.919 0.581 0.000
Al: 0.169 0.669 0.839
Al: 0.331 0.169 0.500
Si: 0.409 0.624 0.969
Si: 0.155 0.124 0.215
Si: 0.374 0.659 0.469
Si: 0.690 0.159 0.285
Si: 0.841 0.126 0.531
Si: 0.095 0.626 0.285
Si: 0.876 0.091 0.031
Si: 0.560 0.591 0.215
Si: 0.909 0.940 0.785
Si: 0.655 0.440 0.031
Si: 0.874 0.405 0.715
Si: 0.190 0.905 0.531
Si: 0.341 0.810 0.715
Si: 0.595 0.310 0.469
Si: 0.376 0.345 0.785
Si: 0.060 0.845 0.969
O: 0.516 0.754 0.974
O: 0.280 0.254 0.238
O: 0.504 0.766 0.474
O: 0.792 0.266 0.262
O: 0.734 0.996 0.526
O: 0.970 0.496 0.262
O: 0.746 0.984 0.026
O: 0.458 0.484 0.238
O: 0.016 0.042 0.762
O: 0.780 0.542 0.026
O: 0.004 0.530 0.738
O: 0.292 0.030 0.526
O: 0.234 0.708 0.738
O: 0.470 0.208 0.474
O: 0.246 0.220 0.762
O: 0.958 0.720 0.974
O: 0.272 0.631 0.940
O: 0.190 0.131 0.359
O: 0.381 0.522 0.440
O: 0.582 0.022 0.141
O: 0.978 0.119 0.560
O: 0.060 0.619 0.141
O: 0.869 0.228 0.060
O: 0.668 0.728 0.359
O: 0.772 0.832 0.641
O: 0.690 0.332 0.060
O: 0.881 0.440 0.859
O: 0.082 0.940 0.560
O: 0.478 0.918 0.859
O: 0.560 0.418 0.440
O: 0.369 0.310 0.641
O: 0.168 0.810 0.940
O: 0.475 0.627 0.111
O: 0.016 0.127 0.152
O: 0.377 0.725 0.611
O: 0.614 0.225 0.348
O: 0.775 0.123 0.389
O: 0.234 0.623 0.348
O: 0.873 0.025 0.889
O: 0.636 0.525 0.152
O: 0.975 0.864 0.848
O: 0.516 0.364 0.889
O: 0.877 0.266 0.652
O: 0.114 0.766 0.389
O: 0.275 0.886 0.652
O: 0.734 0.386 0.611
O: 0.373 0.484 0.848
O: 0.136 0.984 0.111

## Properties
Energy above the most stable polymorph in this dataset (meV per atom): 39.7
Symmetry: I4_1/acd (142)
Energy (eV/cell): -537.7

---

Entry 4:
DFT (PBE) results for crystalline MgAl2Sb2 at its relaxed geometry.

Unit cell a=4.604 b=4.604 c=7.086 alpha=90.00 beta=90.00 gamma=120.00
Element x y z (fractional)
Mg: 0.000 0.000 0.000
Al: 0.667 0.333 0.371
Al: 0.333 0.667 0.629
Sb: 0.667 0.333 0.770
Sb: 0.333 0.667 0.230

## Properties
Symmetry: P-3m1 (164)
Energy (eV/cell): -17.2

---

Entry 5:
DFT (PBE) results for crystalline ErCo4B4 at its relaxed geometry.

Unit cell a=5.001 b=5.001 c=6.967 alpha=90.00 beta=90.00 gamma=90.00
Element x y z (fractional)
Er: 0.750 0.250 0.250
Er: 0.250 0.750 0.750
Co: 0.004 0.750 0.112
Co: 0.496 0.750 0.112
Co: 0.750 0.004 0.612
Co: 0.750 0.496 0.612
Co: 0.996 0.250 0.888
Co: 0.504 0.250 0.888
Co: 0.250 0.996 0.388
Co: 0.250 0.504 0.388
B: 0.575 0.750 0.407
B: 0.925 0.750 0.407
B: 0.750 0.575 0.907
B: 0.750 0.925 0.907
B: 0.425 0.250 0.593
B: 0.075 0.250 0.593
B: 0.250 0.425 0.093
B: 0.250 0.075 0.093

## Properties
Symmetry: P4_2/nmc (137)
Energy (eV/cell): -128.8

---

Entry 6:
DFT (PBE) results for crystalline Al2Si2H4O9 at its relaxed geometry.

Unit cell a=5.235 b=5.235 c=14.532 alpha=89.03 beta=89.03 gamma=120.05
Element x y z (fractional)
Al: 0.551 0.217 0.731
Al: 0.217 0.551 0.231
Al: 0.892 0.889 0.731
Al: 0.889 0.892 0.231
Si: 0.578 0.541 0.541
Si: 0.541 0.578 0.041
Si: 0.893 0.199 0.540
Si: 0.199 0.893 0.040
H: 0.226 0.752 0.658
H: 0.752 0.226 0.158
H: 0.877 0.548 0.858
H: 0.548 0.877 0.358
H: 0.213 0.247 0.856
H: 0.247 0.213 0.356
H: 0.524 0.858 0.856
H: 0.858 0.524 0.356
O: 0.735 0.370 0.493
O: 0.370 0.735 0.993
O: 0.741 0.874 0.494
O: 0.874 0.741 0.994
O: 0.239 0.381 0.506
O: 0.381 0.239 0.006
O: 0.609 0.550 0.652
O: 0.550 0.609 0.152
O: 0.846 0.171 0.652
O: 0.171 0.846 0.152
O: 0.228 0.939 0.658
O: 0.939 0.228 0.158
O: 0.827 0.546 0.794
O: 0.546 0.827 0.294
O: 0.216 0.160 0.798
O: 0.160 0.216 0.298
O: 0.607 0.937 0.795
O: 0.937 0.607 0.295

## Properties
Energy above the most stable polymorph in this dataset (meV per atom): 3.0
Symmetry: Cc (9)
Energy (eV/cell): -229.2